No. 1
Computed, not measured: crystalline SiPbO3 at its relaxed geometry at the meta-GGA r2SCAN level of DFT.

Output
space-group type	P2/c

```
SiPbO3
1.0
11.2219 0.0000 0.0000
0.0000 7.0522 0.0000
-6.4298 0.0000 11.2999
Si Pb O
12 12 36
direct
0.0367 0.1266 0.1540 Si
0.0367 0.8734 0.6540 Si
0.2508 0.1803 0.5372 Si
0.2508 0.8197 0.0372 Si
0.3620 0.4062 0.3914 Si
0.3620 0.5938 0.8914 Si
0.6380 0.4062 0.1086 Si
0.6380 0.5938 0.6086 Si
0.7492 0.1803 0.9628 Si
0.7492 0.8197 0.4628 Si
0.9633 0.1266 0.3460 Si
0.9633 0.8734 0.8460 Si
0.0623 0.3831 0.6526 Pb
0.0623 0.6169 0.1526 Pb
0.3017 0.3056 0.0988 Pb
0.3017 0.6944 0.5988 Pb
0.3724 0.0617 0.8258 Pb
0.3724 0.9383 0.3258 Pb
0.6276 0.0617 0.6742 Pb
0.6276 0.9383 0.1742 Pb
0.6983 0.3056 0.4012 Pb
0.6983 0.6944 0.9012 Pb
0.9377 0.3831 0.8474 Pb
0.9377 0.6169 0.3474 Pb
0.0000 0.2261 0.2500 O
0.0000 0.7739 0.7500 O
0.0997 0.2908 0.1080 O
0.0997 0.7092 0.6080 O
0.1123 0.0548 0.4557 O
0.1123 0.9452 0.9557 O
0.1374 0.0526 0.7107 O
0.1374 0.9474 0.2107 O
0.2173 0.3693 0.5879 O
0.2173 0.6307 0.0879 O
0.2535 0.4256 0.8310 O
0.2535 0.5744 0.3310 O
0.3160 0.2382 0.4531 O
0.3160 0.7618 0.9531 O
0.3602 0.0453 0.6432 O
0.3602 0.9547 0.1432 O
0.4008 0.2861 0.3044 O
0.4008 0.7140 0.8044 O
0.5000 0.5000 0.0000 O
0.5000 0.5000 0.5000 O
0.5992 0.2861 0.1956 O
0.5992 0.7140 0.6956 O
0.6398 0.0453 0.8568 O
0.6398 0.9547 0.3568 O
0.6840 0.2382 0.0469 O
0.6840 0.7618 0.5469 O
0.7465 0.4256 0.6690 O
0.7465 0.5744 0.1690 O
0.7827 0.3693 0.9121 O
0.7827 0.6307 0.4121 O
0.8626 0.0526 0.7893 O
0.8626 0.9474 0.2893 O
0.8877 0.0548 0.0443 O
0.8877 0.9452 0.5443 O
0.9003 0.2908 0.3920 O
0.9003 0.7092 0.8920 O
```

=====

No. 2
Computed, not measured: crystalline SiPbO3 at its relaxed geometry at the meta-GGA r2SCAN level of DFT.

Output
space-group type	R-3

```
SiPbO3
1.0
2.4022 1.3869 6.5561
-2.4022 1.3869 6.5561
0.0000 -2.7738 6.5561
Si Pb O
2 2 6
direct
0.1666 0.1666 0.1666 Si
0.8334 0.8334 0.8334 Si
0.3874 0.3874 0.3874 Pb
0.6126 0.6126 0.6126 Pb
0.0667 0.8340 0.4501 O
0.1660 0.5499 0.9333 O
0.4501 0.0667 0.8340 O
0.5499 0.9333 0.1660 O
0.8340 0.4501 0.0667 O
0.9333 0.1660 0.5499 O
```

=====

No. 3
Computed, not measured: crystalline SnPb2O4 at its relaxed geometry at the meta-GGA r2SCAN level of DFT.

Output
space-group type	P4_2/mbc

```
SnPb2O4
1.0
8.8020 0.0000 0.0000
0.0000 8.8020 0.0000
0.0000 0.0000 6.3584
Sn Pb O
4 8 16
direct
0.0000 0.5000 0.2500 Sn
0.0000 0.5000 0.7500 Sn
0.5000 0.0000 0.2500 Sn
0.5000 0.0000 0.7500 Sn
0.1425 0.1611 0.0000 Pb
0.1611 0.8575 0.5000 Pb
0.3389 0.3575 0.5000 Pb
0.3575 0.6611 0.0000 Pb
0.6425 0.3389 0.0000 Pb
0.6611 0.6425 0.5000 Pb
0.8389 0.1425 0.5000 Pb
0.8575 0.8389 0.0000 Pb
0.0961 0.6239 0.0000 O
0.1239 0.5961 0.5000 O
0.1653 0.3347 0.2500 O
0.1653 0.3347 0.7500 O
0.3347 0.8347 0.2500 O
0.3347 0.8347 0.7500 O
0.3761 0.0961 0.5000 O
0.4039 0.1239 0.0000 O
0.5961 0.8761 0.0000 O
0.6239 0.9039 0.5000 O
0.6653 0.1653 0.2500 O
0.6653 0.1653 0.7500 O
0.8347 0.6653 0.2500 O
0.8347 0.6653 0.7500 O
0.8761 0.4039 0.5000 O
0.9039 0.3761 0.0000 O
```

=====

No. 4
Computed, not measured: crystalline Ta8Pb6O25 at its relaxed geometry at the meta-GGA r2SCAN level of DFT.

Output
space-group type	C2

```
Ta8Pb6O25
1.0
5.2792 -5.3042 0.0000
5.2792 5.3042 0.0000
-0.0278 0.0000 10.5128
Ta Pb O
8 6 25
direct
0.1224 0.1224 0.3735 Ta
0.1241 0.6232 0.3737 Ta
0.3738 0.3675 0.1219 Ta
0.3768 0.8759 0.6263 Ta
0.6281 0.1213 0.8769 Ta
0.6325 0.6262 0.8781 Ta
0.8776 0.8776 0.6265 Ta
0.8787 0.3719 0.1231 Ta
0.1367 0.6482 0.8898 Pb
0.3518 0.8633 0.1102 Pb
0.3739 0.3700 0.6338 Pb
0.6257 0.1230 0.3658 Pb
0.6300 0.6261 0.3662 Pb
0.8770 0.3743 0.6342 Pb
0.1251 0.3852 0.0656 O
0.1254 0.8688 0.6839 O
0.1276 0.3739 0.4423 O
0.1312 0.8746 0.3161 O
0.3117 0.1878 0.2505 O
0.3126 0.5642 0.2487 O
0.3172 0.0678 0.4997 O
0.3179 0.6821 0.5000 O
0.4358 0.6874 0.7513 O
0.4382 0.1851 0.0013 O
0.4399 0.5601 0.0000 O
0.4423 0.0684 0.7436 O
0.6148 0.8749 0.9344 O
0.6230 0.3756 0.1961 O
0.6244 0.3770 0.8039 O
0.6264 0.3736 0.5000 O
0.6261 0.8724 0.5577 O
0.8040 0.1960 0.0000 O
0.8101 0.0655 0.7467 O
0.8122 0.6883 0.7495 O
0.8149 0.5618 0.9987 O
0.9324 0.0676 0.5000 O
0.9316 0.5577 0.2564 O
0.9322 0.6828 0.5003 O
0.9345 0.1899 0.2533 O
```

=====

No. 5
Computed, not measured: crystalline Ta2PbO6 at its relaxed geometry at the meta-GGA r2SCAN level of DFT.

Output
space-group type	Pnma

```
Ta2PbO6
1.0
11.0750 0.0000 0.0000
0.0000 7.6619 0.0000
0.0000 0.0000 5.7060
Ta Pb O
8 4 24
direct
0.1433 0.0034 0.0352 Ta
0.1433 0.4966 0.0352 Ta
0.3567 0.5034 0.5352 Ta
0.3567 0.9966 0.5352 Ta
0.6433 0.0034 0.4648 Ta
0.6433 0.4966 0.4648 Ta
0.8567 0.5034 0.9648 Ta
0.8567 0.9966 0.9648 Ta
0.0356 0.7500 0.5347 Pb
0.4644 0.2500 0.0347 Pb
0.5356 0.7500 0.9653 Pb
0.9644 0.2500 0.4653 Pb
0.0229 0.0344 0.7854 O
0.0229 0.4656 0.7854 O
0.1317 0.2500 0.1337 O
0.1469 0.7500 0.9715 O
0.2155 0.5468 0.3519 O
0.2155 0.9532 0.3519 O
0.2845 0.0468 0.8519 O
0.2845 0.4532 0.8519 O
0.3531 0.2500 0.4715 O
0.3683 0.7500 0.6337 O
0.4771 0.5344 0.2854 O
0.4771 0.9656 0.2854 O
0.5229 0.0344 0.7146 O
0.5229 0.4656 0.7146 O
0.6317 0.2500 0.3663 O
0.6469 0.7500 0.5285 O
0.7155 0.5468 0.1481 O
0.7155 0.9532 0.1481 O
0.7845 0.0468 0.6481 O
0.7845 0.4532 0.6481 O
0.8531 0.2500 0.0285 O
0.8683 0.7500 0.8663 O
0.9771 0.5344 0.2146 O
0.9771 0.9656 0.2146 O
```

=====

No. 6
Computed, not measured: crystalline YbTaPb2O6 at its relaxed geometry at the meta-GGA r2SCAN level of DFT.

Output
space-group type	Fm-3m

```
YbTaPb2O6
1.0
0.0000 4.1442 4.1442
4.1442 0.0000 4.1442
4.1442 4.1442 0.0000
Yb Ta Pb O
1 1 2 6
direct
0.0000 0.0000 0.0000 Yb
0.5000 0.5000 0.5000 Ta
0.2500 0.2500 0.2500 Pb
0.7500 0.7500 0.7500 Pb
0.2608 0.2608 0.7392 O
0.2608 0.7392 0.2608 O
0.2608 0.7392 0.7392 O
0.7392 0.2608 0.2608 O
0.7392 0.2608 0.7392 O
0.7392 0.7392 0.2608 O
```

=====

No. 7
Computed, not measured: crystalline TePbO3 at its relaxed geometry at the meta-GGA r2SCAN level of DFT.

Output
space-group type	P4_1

```
TePbO3
1.0
5.3503 0.0000 0.0000
0.0000 5.3503 0.0000
0.0000 0.0000 11.9679
Te Pb O
4 4 12
direct
0.2433 0.7522 0.0000 Te
0.2478 0.2433 0.2500 Te
0.7522 0.7567 0.7500 Te
0.7567 0.2478 0.5000 Te
0.2540 0.7431 0.5108 Pb
0.2569 0.2540 0.7608 Pb
0.7431 0.7460 0.2608 Pb
0.7460 0.2569 0.0108 Pb
0.0222 0.6236 0.1068 O
0.1118 0.4807 0.3484 O
0.3764 0.0222 0.3568 O
0.3808 0.4387 0.9612 O
0.4387 0.6192 0.7112 O
0.4807 0.8882 0.0984 O
0.5193 0.1118 0.5984 O
0.5613 0.3808 0.2112 O
0.6192 0.5613 0.4612 O
0.6236 0.9778 0.8568 O
0.8882 0.5193 0.8484 O
0.9778 0.3764 0.6068 O
```

=====

No. 8
Computed, not measured: crystalline ThV2PbO8 at its relaxed geometry at the meta-GGA r2SCAN level of DFT.

Output
space-group type	P-1

```
ThV2PbO8
1.0
6.8026 0.0000 0.0000
1.7160 6.7944 0.0000
0.2717 0.0731 7.3089
Th V Pb O
2 4 2 16
direct
0.0864 0.2269 0.1460 Th
0.9136 0.7731 0.8540 Th
0.1162 0.7002 0.3415 V
0.3922 0.8005 0.8373 V
0.6078 0.1995 0.1627 V
0.8838 0.2998 0.6585 V
0.3970 0.2848 0.6465 Pb
0.6030 0.7152 0.3535 Pb
0.0173 0.6070 0.1530 O
0.0538 0.2700 0.4725 O
0.1784 0.9803 0.9078 O
0.1945 0.9073 0.2829 O
0.2641 0.6230 0.7944 O
0.3324 0.5322 0.3912 O
0.4041 0.2577 0.0182 O
0.4943 0.8800 0.6477 O
0.5057 0.1200 0.3523 O
0.5959 0.7423 0.9818 O
0.6676 0.4678 0.6088 O
0.7359 0.3770 0.2056 O
0.8055 0.0927 0.7171 O
0.8216 0.0197 0.0922 O
0.9462 0.7300 0.5275 O
0.9827 0.3930 0.8470 O
```

=====

No. 9
Computed, not measured: crystalline V3Pb4O12 at its relaxed geometry at the meta-GGA r2SCAN level of DFT.

Output
space-group type	I-43d

```
V3Pb4O12
1.0
-5.3908 5.3908 5.3908
5.3908 -5.3908 5.3908
5.3908 5.3908 -5.3908
V Pb O
6 8 24
direct
0.1250 0.7500 0.8750 V
0.2500 0.6250 0.3750 V
0.3750 0.2500 0.6250 V
0.6250 0.3750 0.2500 V
0.7500 0.8750 0.1250 V
0.8750 0.1250 0.7500 V
0.0000 0.3426 0.5000 Pb
0.0000 0.8426 0.5000 Pb
0.1574 0.1574 0.1574 Pb
0.3426 0.5000 0.0000 Pb
0.5000 0.0000 0.3426 Pb
0.5000 0.0000 0.8426 Pb
0.6574 0.6574 0.6574 Pb
0.8426 0.5000 0.0000 Pb
0.0729 0.6564 0.3431 O
0.0835 0.2702 0.9271 O
0.1564 0.5729 0.8431 O
0.1569 0.8134 0.7298 O
0.1866 0.4165 0.3436 O
0.2298 0.3134 0.6569 O
0.2702 0.9271 0.0835 O
0.3134 0.6569 0.2298 O
0.3431 0.0729 0.6564 O
0.3436 0.1866 0.4165 O
0.4165 0.3436 0.1866 O
0.4271 0.7702 0.5835 O
0.5729 0.8431 0.1564 O
0.5835 0.4271 0.7702 O
0.6564 0.3431 0.0729 O
0.6569 0.2298 0.3134 O
0.6866 0.8436 0.9165 O
0.7298 0.1569 0.8134 O
0.7702 0.5835 0.4271 O
0.8134 0.7298 0.1569 O
0.8431 0.1564 0.5729 O
0.8436 0.9165 0.6866 O
0.9165 0.6866 0.8436 O
0.9271 0.0835 0.2702 O
```

=====

No. 10
Computed, not measured: crystalline V2Pb2O7 at its relaxed geometry at the meta-GGA r2SCAN level of DFT.

Output
space-group type	P2_1/c

```
V2Pb2O7
1.0
7.1131 0.0000 0.0000
0.0000 7.1671 0.0000
-3.8237 0.0000 12.9161
V Pb O
8 8 28
direct
0.1144 0.1777 0.4154 V
0.1144 0.3223 0.9154 V
0.2947 0.0613 0.1088 V
0.2947 0.4387 0.6088 V
0.7053 0.5613 0.3912 V
0.7053 0.9387 0.8912 V
0.8856 0.6777 0.0846 V
0.8856 0.8223 0.5846 V
0.1682 0.6811 0.3431 Pb
0.1682 0.8189 0.8431 Pb
0.4495 0.5954 0.1327 Pb
0.4495 0.9046 0.6327 Pb
0.5505 0.0954 0.3673 Pb
0.5505 0.4046 0.8673 Pb
0.8318 0.1811 0.1569 Pb
0.8318 0.3189 0.6569 Pb
0.0970 0.2021 0.0299 O
0.0970 0.2979 0.5299 O
0.1037 0.5869 0.1545 O
0.1037 0.9131 0.6545 O
0.2052 0.1740 0.8437 O
0.2052 0.3260 0.3437 O
0.2241 0.5209 0.7088 O
0.2241 0.9791 0.2088 O
0.2845 0.0003 0.4520 O
0.2845 0.4997 0.9520 O
0.3465 0.6199 0.5390 O
0.3465 0.8801 0.0390 O
0.5001 0.1958 0.1605 O
0.5001 0.3042 0.6605 O
0.4999 0.6958 0.3395 O
0.4999 0.8042 0.8395 O
0.6535 0.1199 0.9610 O
0.6535 0.3801 0.4610 O
0.7155 0.9997 0.5480 O
0.7155 0.5003 0.0480 O
0.7759 0.0209 0.7912 O
0.7759 0.4791 0.2912 O
0.7948 0.6740 0.6563 O
0.7948 0.8260 0.1563 O
0.8963 0.0869 0.3455 O
0.8963 0.4131 0.8455 O
0.9030 0.7021 0.4701 O
0.9030 0.7979 0.9701 O
```

=====

No. 11
Computed, not measured: crystalline YVPb2O6 at its relaxed geometry at the meta-GGA r2SCAN level of DFT.

Output
space-group type	Fm-3m

```
YVPb2O6
1.0
0.0000 4.0777 4.0777
4.0777 0.0000 4.0777
4.0777 4.0777 0.0000
Y V Pb O
1 1 2 6
direct
0.0000 0.0000 0.0000 Y
0.5000 0.5000 0.5000 V
0.2500 0.2500 0.2500 Pb
0.7500 0.7500 0.7500 Pb
0.2700 0.2700 0.7300 O
0.2700 0.7300 0.2700 O
0.2700 0.7300 0.7300 O
0.7300 0.2700 0.2700 O
0.7300 0.2700 0.7300 O
0.7300 0.7300 0.2700 O
```

=====

No. 12
Computed, not measured: crystalline ZnPb2WO6 at its relaxed geometry at the meta-GGA r2SCAN level of DFT.

Output
space-group type	Fm-3m

```
ZnPb2WO6
1.0
0.0000 4.0040 4.0040
4.0040 0.0000 4.0040
4.0040 4.0040 0.0000
Zn Pb W O
1 2 1 6
direct
0.0000 0.0000 0.0000 Zn
0.2500 0.2500 0.2500 Pb
0.7500 0.7500 0.7500 Pb
0.5000 0.5000 0.5000 W
0.2597 0.2597 0.7403 O
0.2597 0.7403 0.2597 O
0.2597 0.7403 0.7403 O
0.7403 0.2597 0.2597 O
0.7403 0.2597 0.7403 O
0.7403 0.7403 0.2597 O
```

=====

So what do the calculations give for DFT total energy? Going down the list: -18.98, -18.86, -24.58, -25.09, -23.80, -25.95, -21.17, -19.94, -19.86, -18.77, -20.57, -22.64 eV/atom.
So what do the calculations give for size of the total moment? Going down the list: 0.0, 0.0, 0.0, 0.0, 0.0, 0.0, 0.0, 0.0, 0.0, 0.0, 0.0, 0.0 Bohr magnetons per cell.
So what do the calculations give for density? Going down the list: 6.31, 7.18, 8.05, 8.72, 9.12, 10.08, 7.42, 6.58, 6.22, 6.34, 7.96, 9.83 g/cm3.